A relaxed MgFe2Mo2Cl2O8 crystal. Source: the Materials Project database, functional GGA+U.

Calculated values
- Magnetic moment: 8.0 μB/cell
- DFT formation energy: -1.77 eV/atom
- Uncorrected energy: -93.7 eV for the cell shown
- Calculated volume: 275.8 Å³ per cell

a = 5.333 Å, b = 7.186 Å, c = 7.207 Å
α = 92.84°, β = 90.65°, γ = 90.78°
Fractional positions:
Mg1 0.000 0.000 0.000
Fe1 0.349 0.233 0.233
Fe2 0.843 0.705 0.705
Mo1 0.109 0.225 0.706
Mo2 0.109 0.706 0.225
Cl1 0.404 0.738 0.737
Cl2 0.803 0.215 0.214
O1 0.261 0.935 0.210
O2 0.262 0.210 0.934
O3 0.316 0.216 0.515
O4 0.316 0.514 0.216
O5 0.910 0.016 0.726
O6 0.910 0.725 0.017
O7 0.919 0.704 0.424
O8 0.920 0.425 0.705



A relaxed MgFe2Mo2Cl2O8 crystal. Source: the Materials Project database, functional GGA+U.

Calculated values
- Magnetic moment: 8.0 μB/cell
- DFT formation energy: -1.89 eV/atom
- Uncorrected energy: -95.4 eV for the cell shown
- Calculated volume: 261.2 Å³ per cell

a = 7.106 Å, b = 7.106 Å, c = 5.175 Å
α = 90.86°, β = 90.86°, γ = 89.81°
Fractional positions:
Mg1 0.000 0.000 0.000
Fe1 0.252 0.252 0.312
Fe2 0.748 0.748 0.688
Mo1 0.242 0.758 0.500
Mo2 0.758 0.242 0.500
Cl1 0.229 0.229 0.810
Cl2 0.771 0.771 0.190
O1 0.053 0.783 0.735
O2 0.217 0.947 0.265
O3 0.224 0.538 0.337
O4 0.462 0.776 0.663
O5 0.538 0.224 0.337
O6 0.776 0.462 0.663
O7 0.783 0.053 0.735
O8 0.947 0.217 0.265



A relaxed MgFe2Mo2Cl2O8 crystal. Source: the Materials Project database, functional GGA+U.

Calculated values
- Magnetic moment: 10.0 μB/cell
- DFT formation energy: -1.74 eV/atom
- Uncorrected energy: -93.2 eV for the cell shown
- Calculated volume: 264.8 Å³ per cell

a = 5.735 Å, b = 6.741 Å, c = 6.853 Å
α = 91.82°, β = 90.16°, γ = 90.19°
Fractional positions:
Mg1 0.000 0.000 0.000
Fe1 0.239 0.998 0.503
Fe2 0.768 0.499 0.005
Mo1 0.498 0.999 0.005
Mo2 0.510 0.499 0.504
Cl1 0.192 0.496 0.004
Cl2 0.844 0.998 0.509
O1 0.268 0.983 0.200
O2 0.272 0.014 0.806
O3 0.338 0.270 0.498
O4 0.338 0.727 0.507
O5 0.693 0.507 0.711
O6 0.696 0.492 0.299
O7 0.728 0.193 0.983
O8 0.728 0.806 0.026



A relaxed MgFe3Pb4ClO8 crystal. Source: the Materials Project database, functional GGA+U.

Calculated values
- Magnetic moment: 13.0 μB/cell
- DFT formation energy: -1.40 eV/atom
- Uncorrected energy: -94.9 eV for the cell shown
- Calculated volume: 285.5 Å³ per cell

a = 4.007 Å, b = 4.045 Å, c = 17.621 Å
α = 90.08°, β = 90.05°, γ = 90.46°
Fractional positions:
Mg1 0.000 0.000 0.000
Fe1 0.492 0.380 0.500
Fe2 0.504 0.373 0.272
Fe3 0.509 0.379 0.728
Pb1 0.003 0.873 0.165
Pb2 0.008 0.879 0.835
Pb3 0.040 0.821 0.397
Pb4 0.052 0.832 0.603
Cl1 0.504 0.380 0.000
O1 0.001 0.377 0.224
O2 0.006 0.383 0.775
O3 0.442 0.900 0.500
O4 0.456 0.415 0.618
O5 0.463 0.422 0.382
O6 0.503 0.877 0.226
O7 0.507 0.882 0.774
O8 0.976 0.436 0.500



A relaxed MgFe2W2Cl2O8 crystal. Source: the Materials Project database, functional GGA+U.

Calculated values
- Magnetic moment: 8.0 μB/cell
- DFT formation energy: -1.83 eV/atom
- Uncorrected energy: -96.3 eV for the cell shown
- Calculated volume: 282.0 Å³ per cell

a = 7.193 Å, b = 7.193 Å, c = 5.458 Å
α = 91.09°, β = 91.09°, γ = 92.81°
Fractional positions:
Mg1 0.000 0.000 0.000
Fe1 0.299 0.299 0.168
Fe2 0.770 0.770 0.638
W1 0.298 0.776 0.887
W2 0.776 0.298 0.887
Cl1 0.267 0.267 0.592
Cl2 0.788 0.788 0.195
O1 0.068 0.792 0.736
O2 0.277 0.986 0.084
O3 0.299 0.575 0.076
O4 0.491 0.786 0.681
O5 0.575 0.299 0.076
O6 0.786 0.491 0.681
O7 0.792 0.068 0.736
O8 0.986 0.277 0.084



A relaxed MgFe2W2Cl2O8 crystal. Source: the Materials Project database, functional GGA+U.

Calculated values
- Magnetic moment: 8.0 μB/cell
- DFT formation energy: -1.95 eV/atom
- Uncorrected energy: -98.1 eV for the cell shown
- Calculated volume: 264.8 Å³ per cell

a = 7.139 Å, b = 7.139 Å, c = 5.196 Å
α = 91.14°, β = 91.14°, γ = 89.72°
Fractional positions:
Mg1 0.000 0.000 0.000
Fe1 0.251 0.251 0.310
Fe2 0.749 0.749 0.690
W1 0.241 0.759 0.500
W2 0.759 0.241 0.500
Cl1 0.227 0.227 0.808
Cl2 0.773 0.773 0.192
O1 0.054 0.784 0.737
O2 0.216 0.946 0.263
O3 0.224 0.535 0.337
O4 0.465 0.776 0.663
O5 0.535 0.224 0.337
O6 0.776 0.465 0.663
O7 0.784 0.054 0.737
O8 0.946 0.216 0.263



A relaxed MgFe2W2Cl2O8 crystal. Source: the Materials Project database, functional GGA+U.

Calculated values
- Magnetic moment: 8.0 μB/cell
- DFT formation energy: -1.82 eV/atom
- Uncorrected energy: -96.1 eV for the cell shown
- Calculated volume: 274.3 Å³ per cell

a = 6.942 Å, b = 6.942 Å, c = 5.692 Å
α = 90.00°, β = 90.00°, γ = 90.00°
Fractional positions:
Mg1 0.000 0.000 0.000
Fe1 0.000 0.500 0.246
Fe2 0.500 0.000 0.754
W1 0.000 0.000 0.500
W2 0.500 0.500 0.500
Cl1 0.000 0.500 0.816
Cl2 0.500 0.000 0.184
O1 0.000 0.191 0.281
O2 0.000 0.809 0.281
O3 0.191 0.000 0.719
O4 0.285 0.500 0.318
O5 0.500 0.285 0.682
O6 0.500 0.715 0.682
O7 0.715 0.500 0.318
O8 0.809 0.000 0.719



A relaxed FeMoClO4 crystal. Source: the Materials Project database, functional GGA+U.

Calculated values
- Magnetic moment: 0.0 μB/cell
- DFT formation energy: -1.66 eV/atom
- Uncorrected energy: -88.7 eV for the cell shown
- Calculated volume: 257.6 Å³ per cell

a = 5.602 Å, b = 6.784 Å, c = 6.780 Å
α = 90.00°, β = 91.37°, γ = 90.00°
Fractional positions:
Fe1 0.232 0.250 0.241
Fe2 0.768 0.750 0.759
Mo1 0.500 0.250 0.750
Mo2 0.500 0.750 0.250
Cl1 0.166 0.750 0.753
Cl2 0.834 0.250 0.247
O1 0.304 0.250 0.955
O2 0.314 0.535 0.241
O3 0.314 0.965 0.241
O4 0.325 0.250 0.526
O5 0.675 0.750 0.474
O6 0.686 0.035 0.759
O7 0.686 0.465 0.759
O8 0.696 0.750 0.045



A relaxed FeMoClO4 crystal. Source: the Materials Project database, functional GGA+U.

Calculated values
- Magnetic moment: 0.0 μB/cell
- DFT formation energy: -1.65 eV/atom
- Uncorrected energy: -88.6 eV for the cell shown
- Calculated volume: 252.6 Å³ per cell

a = 6.751 Å, b = 6.751 Å, c = 5.542 Å
α = 90.03°, β = 90.03°, γ = 89.93°
Fractional positions:
Fe1 0.000 0.000 0.000
Fe2 0.501 0.501 0.515
Mo1 0.001 0.500 0.272
Mo2 0.500 0.001 0.272
Cl1 0.000 0.000 0.597
Cl2 0.499 0.499 0.923
O1 0.000 0.286 0.082
O2 0.000 0.715 0.082
O3 0.218 0.499 0.459
O4 0.286 0.000 0.082
O5 0.499 0.218 0.459
O6 0.500 0.783 0.459
O7 0.715 0.000 0.082
O8 0.783 0.500 0.459



A relaxed FeMoClO4 crystal. Source: the Materials Project database, functional GGA+U.

Calculated values
- Magnetic moment: 0.0 μB/cell
- DFT formation energy: -1.66 eV/atom
- Uncorrected energy: -88.7 eV for the cell shown
- Calculated volume: 259.0 Å³ per cell

a = 6.784 Å, b = 6.784 Å, c = 5.626 Å
α = 90.00°, β = 90.00°, γ = 90.00°
Fractional positions:
Fe1 0.250 0.250 0.232
Fe2 0.750 0.750 0.768
Mo1 0.250 0.750 0.500
Mo2 0.750 0.250 0.500
Cl1 0.250 0.250 0.836
Cl2 0.750 0.750 0.164
O1 0.035 0.750 0.685
O2 0.250 0.535 0.315
O3 0.250 0.965 0.315
O4 0.465 0.750 0.685
O5 0.535 0.250 0.315
O6 0.750 0.035 0.685
O7 0.750 0.465 0.685
O8 0.965 0.250 0.315



A relaxed RbNa2Fe3P4ClO14 crystal. Source: the Materials Project database, functional GGA+U.

Calculated values
- Magnetic moment: 24.0 μB/cell
- DFT formation energy: -2.41 eV/atom
- Uncorrected energy: -331.6 eV for the cell shown
- Calculated volume: 676.5 Å³ per cell

a = 10.883 Å, b = 10.883 Å, c = 13.901 Å
α = 117.89°, β = 117.89°, γ = 27.97°
Fractional positions:
Rb1 0.000 0.000 0.000
Rb2 0.000 0.000 0.500
Na1 0.190 0.252 0.151
Na2 0.252 0.190 0.651
Na3 0.748 0.810 0.349
Na4 0.810 0.748 0.849
Fe1 0.144 0.164 0.842
Fe2 0.164 0.144 0.342
Fe3 0.440 0.560 0.250
Fe4 0.560 0.440 0.750
Fe5 0.836 0.856 0.658
Fe6 0.856 0.836 0.158
P1 0.321 0.363 0.507
P2 0.363 0.321 0.007
P3 0.372 0.392 0.328
P4 0.392 0.372 0.828
P5 0.608 0.628 0.172
P6 0.628 0.608 0.672
P7 0.637 0.679 0.993
P8 0.679 0.637 0.493
Cl1 0.039 0.961 0.750
Cl2 0.961 0.039 0.250
O1 0.035 0.655 0.526
O2 0.074 0.618 0.290
O3 0.129 0.540 0.754
O4 0.188 0.346 0.926
O5 0.248 0.512 0.115
O6 0.345 0.965 0.974
O7 0.346 0.188 0.426
O8 0.353 0.432 0.950
O9 0.382 0.926 0.210
O10 0.432 0.353 0.450
O11 0.455 0.466 0.352
O12 0.460 0.871 0.746
O13 0.466 0.455 0.852
O14 0.488 0.752 0.385
O15 0.512 0.248 0.615
O16 0.534 0.545 0.148
O17 0.540 0.129 0.254
O18 0.545 0.534 0.648
O19 0.568 0.647 0.550
O20 0.618 0.074 0.790
O21 0.647 0.568 0.050
O22 0.654 0.812 0.574
O23 0.655 0.035 0.026
O24 0.752 0.488 0.885
O25 0.812 0.654 0.074
O26 0.871 0.460 0.246
O27 0.926 0.382 0.710
O28 0.965 0.345 0.474



A relaxed FeClO crystal. Source: the Materials Project database, functional GGA+U.

Calculated values
- DFT formation energy: -1.29 eV/atom
- Uncorrected energy: -64.8 eV for the cell shown
- Calculated volume: 215.2 Å³ per cell

a = 5.120 Å, b = 5.079 Å, c = 9.004 Å
α = 76.09°, β = 75.93°, γ = 98.42°
Fractional positions:
Fe1 0.804 0.304 0.892
Cl1 0.657 0.157 0.686
Fe2 0.696 0.696 0.108
Cl2 0.343 0.343 0.314
Cl3 0.843 0.843 0.314
Fe3 0.196 0.196 0.108
O1 0.977 0.477 0.046
O2 0.477 0.977 0.046
Fe4 0.304 0.804 0.892
O3 0.023 0.023 0.954
O4 0.523 0.523 0.954
Cl4 0.157 0.657 0.686